(1)
The following is a PBE calculation of a geometry-optimized WN2 structure, from the Materials Project database.

a b c (Å): 5.8892 6.0073 8.1341
angles (deg): 90.00 90.00 90.00
Fractional positions:
W 0.0515 0.3741 0.1243
W 0.4485 0.8741 0.6243
W 0.5515 0.3741 0.3757
W 0.9485 0.8741 0.8757
N 0.0102 0.0960 0.0281
N 0.1521 0.9048 0.7023
N 0.3479 0.4048 0.2023
N 0.4898 0.5960 0.5281
N 0.6521 0.9048 0.7977
N 0.5102 0.0960 0.4719
N 0.9898 0.5960 0.9719
N 0.8479 0.4048 0.2977

Values from the calculation:
The maximum piezoelectric response comes out at 0.15 C/m². Its crystal system is orthorhombic.

(2)
The following is a PBE calculation of a geometry-optimized KErP4O12 structure, from the Materials Project database.

a b c (Å): 8.3921 7.3261 7.9191
angles (deg): 88.55 90.00 90.00
Fractional positions:
K 0.8110 0.2674 0.2831
K 0.3110 0.7326 0.7169
Er 0.5023 0.2386 0.7578
Er 0.0023 0.7614 0.2422
P 0.5848 0.9032 0.0970
P 0.0848 0.0968 0.9030
P 0.8494 0.9948 0.6180
P 0.3494 0.0052 0.3820
P 0.7539 0.6121 0.6013
P 0.2539 0.3879 0.3987
P 0.8762 0.4353 0.9093
P 0.3762 0.5647 0.0907
O 0.7487 0.9082 0.1707
O 0.2487 0.0918 0.8293
O 0.5540 0.9848 0.9242
O 0.0540 0.0152 0.0758
O 0.9452 0.9640 0.4609
O 0.4452 0.0360 0.5391
O 0.7441 0.1605 0.6176
O 0.2441 0.8395 0.3824
O 0.9650 0.9903 0.7791
O 0.4650 0.0097 0.2209
O 0.5995 0.5203 0.6456
O 0.0995 0.4797 0.3544
O 0.3937 0.4657 0.2747
O 0.8937 0.5343 0.7253
O 0.0316 0.3075 0.8983
O 0.5316 0.6925 0.1017
O 0.4053 0.4283 0.9558
O 0.9053 0.5717 0.0442
O 0.2279 0.6771 0.0714
O 0.7279 0.3229 0.9286
O 0.3133 0.3909 0.5768
O 0.8133 0.6091 0.4232
O 0.2394 0.1802 0.3385
O 0.7394 0.8198 0.6615

Values from the calculation:
The maximum piezoelectric response comes out at 0.49 C/m². Its crystal system is monoclinic. The value obtained for the relative energy among the computed polymorphs is 9 meV/atom.

(3)
The following is a PBE calculation of a geometry-optimized Li2Nb4O11 structure, from the Materials Project database.

a b c (Å): 6.3536 6.3536 12.9298
angles (deg): 75.68 75.68 59.25
Fractional positions:
Li 0.8552 0.3572 0.9399
Li 0.6428 0.1448 0.5601
Li 0.3572 0.8552 0.4399
Li 0.1448 0.6428 0.0601
Nb 0.7511 0.6037 0.2499
Nb 0.6037 0.7511 0.7499
Nb 0.0000 0.5000 0.5000
Nb 0.1134 0.8866 0.2500
Nb 0.8866 0.1134 0.7500
Nb 0.3963 0.2489 0.2501
Nb 0.5000 0.0000 0.0000
Nb 0.2489 0.3963 0.7501
O 0.7510 0.0118 0.2486
O 0.0118 0.7510 0.7486
O 0.7460 0.5898 0.4059
O 0.7568 0.7350 0.0929
O 0.4063 0.9075 0.2805
O 0.5898 0.7460 0.9059
O 0.2401 0.9128 0.0928
O 0.7350 0.7568 0.5929
O 0.9075 0.4063 0.7805
O 0.4984 0.5016 0.2500
O 0.0872 0.7599 0.4072
O 0.9128 0.2401 0.5928
O 0.5016 0.4984 0.7500
O 0.0925 0.5937 0.2195
O 0.2650 0.2432 0.4071
O 0.7599 0.0872 0.9072
O 0.4102 0.2540 0.0941
O 0.5937 0.0925 0.7195
O 0.2432 0.2650 0.9071
O 0.2540 0.4102 0.5941
O 0.9882 0.2490 0.2514
O 0.2490 0.9882 0.7514

Values from the calculation:
Its crystal system is monoclinic. The value obtained for the relative energy among the computed polymorphs is 0 meV/atom.

(4)
The following is a PBE calculation of a geometry-optimized Gd2Zr2O7 structure, from the Materials Project database.

a b c (Å): 7.4554 7.4554 7.4554
angles (deg): 60.00 60.00 60.00
Fractional positions:
Gd 0.6250 0.1250 0.1250
Gd 0.1250 0.6250 0.1250
Gd 0.1250 0.1250 0.6250
Gd 0.1250 0.1250 0.1250
Zr 0.1250 0.6250 0.6250
Zr 0.6250 0.1250 0.6250
Zr 0.6250 0.6250 0.1250
Zr 0.6250 0.6250 0.6250
O 0.7488 0.7488 0.2512
O 0.2512 0.2512 0.7488
O 0.7488 0.2512 0.7488
O 0.2512 0.7488 0.2512
O 0.2512 0.7488 0.7488
O 0.7488 0.2512 0.2512
O 0.5012 0.5012 0.9988
O 0.9988 0.9988 0.5012
O 0.5012 0.9988 0.5012
O 0.9988 0.5012 0.9988
O 0.9988 0.5012 0.5012
O 0.5012 0.9988 0.9988
O 0.5000 0.5000 0.5000
O 0.7500 0.7500 0.7500

Values from the calculation:
Its crystal system is cubic.

no.,ΔE_f (meV per atom)
1,-447.9
2,-2917.8
3,-2913.3
4,-3578.0